Entry 1:
First-principles (PBE+U) data for a relaxed structure of MnH14C3NCl3O2, as listed in the Materials Project database.

Results
* magnetization: 5.000 μB/f.u.
* E: -483.630 eV/cell

a = 7.5053 Å, b = 8.3924 Å, c = 17.0879 Å
α = 90.00°, β = 90.00°, γ = 90.00°
Sites, in units of the cell vectors:
H: 0.1301 0.9845 0.6344
C: 0.7500 0.5147 0.8322
H: 0.0622 0.8207 0.4577
O: 0.4591 0.2439 0.5242
Mn: 0.0000 0.0000 0.0000
C: 0.0871 0.2418 0.7270
C: 0.5871 0.7418 0.7730
H: 0.2500 0.2476 0.6298
N: 0.2500 0.3099 0.1834
Cl: 0.2500 0.4995 0.3996
H: 0.9023 0.6810 0.0179
Mn: 0.0000 0.5000 0.5000
Cl: 0.7500 0.4367 0.3997
C: 0.4129 0.2418 0.7270
H: 0.5970 0.8706 0.7643
O: 0.9591 0.7439 0.9758
H: 0.9153 0.8198 0.2165
H: 0.0622 0.6793 0.9577
H: 0.4023 0.1810 0.4821
H: 0.4378 0.8207 0.4577
H: 0.5977 0.6810 0.0179
H: 0.9023 0.8190 0.5179
Cl: 0.2500 0.5633 0.6003
H: 0.9378 0.1793 0.5423
H: 0.9691 0.2124 0.6920
H: 0.9691 0.2876 0.1920
Cl: 0.7500 0.5005 0.6004
H: 0.4023 0.3190 0.9821
H: 0.5309 0.2876 0.1920
Cl: 0.7500 0.0633 0.8997
C: 0.7500 0.9853 0.3322
H: 0.7500 0.7476 0.8702
Cl: 0.2500 0.9367 0.1003
H: 0.9030 0.6294 0.2643
Mn: 0.5000 0.0000 0.0000
Mn: 0.5000 0.5000 0.5000
H: 0.0847 0.3198 0.2835
C: 0.2500 0.4853 0.1678
H: 0.4378 0.6793 0.9577
N: 0.7500 0.6901 0.8166
H: 0.4691 0.7876 0.3080
H: 0.4030 0.3706 0.7357
H: 0.2500 0.2524 0.1298
H: 0.8699 0.4845 0.8656
H: 0.5622 0.1793 0.5423
Cl: 0.2500 0.0011 0.4129
Cl: 0.7500 0.9995 0.1004
C: 0.4129 0.2582 0.2270
H: 0.0977 0.3190 0.9821
Cl: 0.2500 0.4989 0.9129
H: 0.5847 0.6802 0.7165
H: 0.0970 0.1294 0.2357
H: 0.9153 0.6802 0.7165
H: 0.2500 0.5481 0.2240
H: 0.9030 0.8706 0.7643
C: 0.0871 0.2582 0.2270
H: 0.5622 0.3207 0.0423
O: 0.5409 0.7439 0.9758
H: 0.5309 0.2124 0.6920
C: 0.9129 0.7582 0.2730
H: 0.7500 0.4519 0.7760
C: 0.9129 0.7418 0.7730
H: 0.0309 0.7124 0.8080
H: 0.7500 0.0481 0.2760
H: 0.0970 0.3706 0.7357
H: 0.1301 0.5155 0.1344
H: 0.0309 0.7876 0.3080
C: 0.5871 0.7582 0.2730
H: 0.5847 0.8198 0.2165
N: 0.7500 0.8099 0.3166
H: 0.5970 0.6294 0.2643
H: 0.2500 0.9519 0.7240
H: 0.0977 0.1810 0.4821
H: 0.4691 0.7124 0.8080
O: 0.5409 0.7561 0.4758
H: 0.4153 0.3198 0.2835
O: 0.0409 0.2439 0.5242
O: 0.9591 0.7561 0.4758
Cl: 0.7500 0.9989 0.5871
H: 0.8699 0.0155 0.3656
H: 0.4030 0.1294 0.2357
C: 0.2500 0.0147 0.6678
H: 0.0847 0.1802 0.7835
H: 0.6301 0.4845 0.8656
H: 0.7500 0.7524 0.3702
Cl: 0.2500 0.0005 0.8996
H: 0.5977 0.8190 0.5179
H: 0.9378 0.3207 0.0423
Cl: 0.7500 0.5011 0.0871
H: 0.3699 0.9845 0.6344
N: 0.2500 0.1901 0.6834
H: 0.6301 0.0155 0.3656
O: 0.0409 0.2561 0.0242
O: 0.4591 0.2561 0.0242
H: 0.3699 0.5155 0.1344
H: 0.4153 0.1802 0.7835

Entry 2:
First-principles (PBE+U) data for a relaxed structure of Mg6VBiO8, as listed in the Materials Project database.

Results
* magnetization: 3.339 μB/f.u.
* offset from the most stable computed form: 18 meV/atom

a = 9.0490 Å, b = 4.5086 Å, c = 4.5086 Å
α = 90.00°, β = 90.00°, γ = 90.00°
Sites, in units of the cell vectors:
O: 0.0000 0.0000 0.5000
V: 0.0000 0.0000 0.0000
Mg: 0.2341 0.5000 0.0000
Mg: 0.0000 0.5000 0.5000
Mg: 0.7659 0.0000 0.5000
O: 0.5000 0.0000 0.5000
O: 0.7512 0.5000 0.5000
O: 0.0000 0.5000 0.0000
O: 0.7682 0.0000 0.0000
O: 0.2488 0.5000 0.5000
Mg: 0.7659 0.5000 0.0000
Mg: 0.5000 0.5000 0.5000
O: 0.5000 0.5000 0.0000
O: 0.2318 0.0000 0.0000
Bi: 0.5000 0.0000 0.0000
Mg: 0.2341 0.0000 0.5000

Entry 3:
First-principles (PBE+U) data for a relaxed structure of Li2Cr2Si6O15, as listed in the Materials Project database.

Results
* magnetization: 7.998 μB/f.u.
* E: -750.757 eV/cell

a = 11.4433 Å, b = 11.4433 Å, c = 10.2633 Å
α = 90.00°, β = 90.00°, γ = 100.78°
Sites, in units of the cell vectors:
O: 0.3248 0.6752 0.4336
Li: 0.5004 0.9996 0.2500
Si: 0.4657 0.3134 0.3077
O: 0.8394 0.8490 0.1583
Li: 0.3994 0.6006 0.2737
Si: 0.2623 0.5203 0.9893
O: 0.1559 0.5941 0.0176
O: 0.4736 0.2524 0.1630
Si: 0.0203 0.7623 0.4893
Si: 0.9657 0.8134 0.1923
O: 0.7547 0.9079 0.4140
O: 0.9736 0.7524 0.3370
O: 0.3490 0.3394 0.6583
O: 0.8490 0.8394 0.8417
Li: 0.9996 0.5004 0.7500
O: 0.2146 0.4961 0.5863
O: 0.6606 0.6510 0.6583
Si: 0.3048 0.9165 0.9629
O: 0.3902 0.6098 0.0203
O: 0.1550 0.5169 0.3292
Li: 0.0004 0.4996 0.2500
Si: 0.1866 0.0343 0.1923
Si: 0.0343 0.1866 0.8077
O: 0.6752 0.3248 0.5664
Li: 0.6006 0.3994 0.7263
O: 0.5039 0.7854 0.5863
O: 0.7524 0.9736 0.6630
O: 0.4079 0.2547 0.9140
Si: 0.7623 0.0203 0.5107
O: 0.0039 0.2854 0.9137
O: 0.2476 0.0264 0.3370
Si: 0.8134 0.9657 0.8077
Si: 0.4797 0.7377 0.9893
Si: 0.4165 0.8048 0.4629
O: 0.7453 0.5921 0.9140
Si: 0.8048 0.4165 0.5371
O: 0.3394 0.3490 0.3417
O: 0.0921 0.2453 0.4140
O: 0.8902 0.1098 0.4797
Si: 0.6952 0.0835 0.0371
O: 0.9831 0.3450 0.1708
O: 0.2453 0.0921 0.5860
O: 0.6559 0.0941 0.4824
O: 0.4961 0.2146 0.4137
O: 0.0169 0.6550 0.8292
O: 0.0941 0.6559 0.5176
O: 0.9059 0.3441 0.4824
Si: 0.5203 0.2623 0.0107
O: 0.5941 0.1559 0.9824
O: 0.8441 0.4059 0.9824
O: 0.6550 0.0169 0.1708
Cr: 0.7571 0.7571 0.0000
Si: 0.0835 0.6952 0.9629
O: 0.3450 0.9831 0.8292
O: 0.7476 0.5264 0.1630
Li: 0.4996 0.0004 0.7500
O: 0.1098 0.8902 0.5203
O: 0.6510 0.6606 0.3417
Si: 0.2377 0.9797 0.4893
O: 0.8248 0.1752 0.0664
O: 0.5169 0.1550 0.6708
O: 0.0658 0.9342 0.1860
O: 0.5264 0.7476 0.8370
O: 0.3441 0.9059 0.5176
O: 0.7854 0.5039 0.4137
Si: 0.1952 0.5835 0.4629
Si: 0.9165 0.3048 0.0371
Si: 0.7377 0.4797 0.0107
Si: 0.6866 0.5343 0.3077
O: 0.0264 0.2476 0.6630
O: 0.6098 0.3902 0.9797
Cr: 0.6596 0.8404 0.2500
Li: 0.8994 0.1006 0.2263
Si: 0.9797 0.2377 0.5107
O: 0.9342 0.0658 0.8140
Si: 0.5343 0.6866 0.6923
O: 0.5921 0.7453 0.0860
O: 0.1606 0.1510 0.8417
Cr: 0.1596 0.3404 0.2500
O: 0.1510 0.1606 0.1583
O: 0.9079 0.7547 0.5860
O: 0.8450 0.4831 0.6708
Cr: 0.2571 0.2571 0.5000
O: 0.4831 0.8450 0.3292
Cr: 0.2429 0.2429 0.0000
Li: 0.1006 0.8994 0.7737
O: 0.4059 0.8441 0.0176
O: 0.2854 0.0039 0.0863
O: 0.2524 0.4736 0.8370
Si: 0.3134 0.4657 0.6923
O: 0.5658 0.4342 0.3140
O: 0.2547 0.4079 0.0860
O: 0.7146 0.9961 0.9137
O: 0.9961 0.7146 0.0863
Cr: 0.3404 0.1596 0.7500
Si: 0.5835 0.1952 0.5371
Cr: 0.7429 0.7429 0.5000
O: 0.4342 0.5658 0.6860
Cr: 0.8404 0.6596 0.7500
O: 0.1752 0.8248 0.9336

Entry 4:
First-principles (PBE+U) data for a relaxed structure of MnO2, as listed in the Materials Project database.

Results
* E: -170.760 eV/cell

a = 5.7887 Å, b = 5.7859 Å, c = 8.8761 Å
α = 89.94°, β = 90.01°, γ = 119.93°
Sites, in units of the cell vectors:
O: 0.4796 0.9552 0.3403
Mn: 0.1675 0.8308 0.2109
O: 0.3314 0.1666 0.1006
O: 0.9537 0.4738 0.8398
Mn: 0.3333 0.6641 0.4871
O: 0.9962 0.9963 0.8160
O: 0.0412 0.5203 0.3406
Mn: 0.6642 0.3315 0.9875
O: 0.6686 0.8321 0.5978
Mn: 0.8300 0.6621 0.7098
O: 0.5169 0.4770 0.8391
O: 0.8357 0.6696 0.0983
O: 0.8331 0.1643 0.1001
O: 0.3328 0.6641 0.1026
O: 0.1648 0.8303 0.6014
Mn: 0.3302 0.1649 0.7110
O: 0.1617 0.3280 0.5994
O: 0.5166 0.0394 0.8401
O: 0.6620 0.3291 0.6010
O: 0.9984 0.9971 0.3164
Mn: 0.6653 0.8306 0.2110
Mn: 0.8267 0.1628 0.7105
O: 0.4776 0.5184 0.3401
Mn: 0.1669 0.3331 0.2114